Entry 1:
Computed, not measured: a relaxed structure of Tl2CuTe2 at the GGA-PBE level of DFT.

```
5
Lattice="-2.187 2.187 8.054 2.187 -2.187 8.054 2.187 2.187 -8.054" Properties=species:S:1:pos:R:3 pbc="T T T"
Tl 2.187 0.000 4.027
Tl 0.000 2.187 4.027
Cu 0.000 0.000 0.000
Te 0.000 0.000 6.611
Te 0.000 0.000 9.498
```

Summary:
Space group = I4/mmm, No. 139
Formation energy = 19.2 kJ per mole of atoms
E (MP2020) = -2.82 eV per atom

---

Entry 2:
Computed, not measured: a relaxed structure of K2Na2Nd2MgNb2O10 at the GGA-PBE level of DFT.

```
19
Lattice="5.913 0.000 0.000 0.000 5.764 0.000 -0.819 0.000 8.751" Properties=species:S:1:pos:R:3 pbc="T T T"
K 0.000 0.000 0.000
K 2.456 2.882 0.799
Na 0.139 2.882 6.460
Na 2.666 0.000 2.090
Nd -0.396 0.000 4.362
Nd 2.531 2.882 4.223
Mg 3.509 2.882 7.227
Nb 2.480 0.000 6.503
Nb 5.475 2.882 2.208
O 0.940 1.557 2.668
O 0.940 4.208 2.668
O 1.291 1.284 5.428
O 1.291 4.481 5.428
O 2.127 0.000 8.348
O 4.160 1.559 2.921
O 4.160 4.205 2.921
O 4.047 1.359 6.001
O 4.047 4.406 6.001
O 5.353 2.882 0.283
```

Summary:
Total moment = 0.00 μB/atom
Space group = Pm, No. 6
Formation energy = -258.8 kJ per mole of atoms
E (MP2020) = -7.19 eV per atom

---

Entry 3:
Computed, not measured: a relaxed structure of Na2HfSiGeP2O12 at the GGA-PBE level of DFT.

```
114
Lattice="8.740 0.000 0.000 4.350 7.598 0.000 0.016 0.080 22.308" Properties=species:S:1:pos:R:3 pbc="T T T"
Na 0.000 0.000 0.000
Na 2.767 4.853 16.768
Na 4.434 7.515 11.083
Na 3.215 4.995 1.862
Na 5.933 5.282 20.510
Na 4.376 2.505 3.784
Na 4.403 2.498 14.825
Na 9.908 7.529 5.608
Na 5.968 0.229 12.978
Na 8.735 5.018 7.438
Na 8.771 5.077 18.620
Na 7.573 2.482 9.305
Hf 4.358 7.631 14.340
Hf 4.400 7.497 3.284
Hf 4.374 2.478 18.189
Hf 4.391 2.455 0.504
Hf 8.671 5.028 15.249
Hf 13.034 7.593 19.048
Si 3.080 5.241 5.613
Si 2.974 4.753 20.497
Si 6.330 4.997 1.872
Si 5.598 0.265 9.268
Si 7.410 2.888 12.846
Si 10.492 7.604 16.677
Ge 4.281 7.472 7.847
Ge 4.322 2.497 7.057
Ge 4.396 2.517 11.502
Ge 8.756 5.065 10.688
Ge 8.763 5.074 21.899
Ge 8.725 4.938 4.185
P 1.280 2.200 16.718
P 1.876 2.478 9.288
P 6.884 7.544 5.663
P 5.644 5.374 16.740
P 5.591 4.694 9.269
P 3.138 0.255 20.517
P 7.486 7.252 12.868
P 6.976 2.572 20.504
P 9.914 7.121 1.898
P 7.468 2.183 5.635
P 9.915 2.867 1.861
P 11.276 4.942 12.906
O 3.753 6.190 20.389
O 0.945 1.225 9.130
O 1.044 1.333 15.470
O 3.724 5.888 4.254
O 3.248 3.891 19.136
O 2.712 2.715 1.751
O 2.734 2.747 8.037
O 3.399 3.679 12.734
O 3.738 4.091 21.775
O 2.798 2.399 16.814
O 4.963 6.107 9.095
O 2.754 2.239 10.549
O 4.993 6.031 15.512
O 1.699 0.200 4.388
O 1.619 0.085 20.358
O 3.779 3.781 5.837
O 5.311 6.295 1.934
O 5.972 7.370 13.038
O 5.959 7.303 6.886
O 5.417 6.198 18.021
O 4.928 4.085 10.537
O 4.959 4.007 16.857
O 3.378 1.135 21.720
O 3.464 1.195 5.789
O 5.312 3.710 1.804
O 3.788 1.063 12.742
O 3.755 0.881 19.243
O 5.419 3.743 8.051
O 7.735 6.331 11.674
O 7.170 5.217 0.476
O 7.161 5.216 16.622
O 7.809 6.302 5.490
O 5.772 2.671 12.745
O 8.165 6.683 14.148
O 4.942 0.965 7.932
O 7.144 4.797 9.418
O 4.938 0.903 1.781
O 8.108 6.434 20.619
O 6.091 2.821 19.257
O 5.241 1.322 16.804
O 7.232 4.765 3.205
O 5.913 2.269 5.786
O 5.433 1.255 10.579
O 6.089 2.315 21.713
O 7.635 3.734 14.206
O 7.795 3.875 20.627
O 9.344 6.507 3.197
O 9.299 6.364 9.474
O 8.112 3.576 5.456
O 9.643 6.224 16.591
O 8.140 3.573 11.550
O 9.754 6.223 0.642
O 7.662 1.261 4.406
O 7.051 0.182 15.333
O 7.875 1.347 20.361
O 7.269 0.186 9.097
O 10.159 5.191 5.402
O 8.127 1.554 6.906
O 8.060 1.381 12.978
O 11.452 7.314 17.958
O 11.463 7.275 1.991
O 10.334 5.301 11.729
O 9.317 3.488 0.590
O 10.108 4.904 20.678
O 9.397 3.599 16.586
O 9.673 3.726 9.427
O 9.776 3.760 3.121
O 10.476 4.750 14.222
O 11.997 6.328 6.848
O 9.286 1.469 1.986
O 9.425 1.566 17.969
O 12.149 6.216 13.051
```

Summary:
Total moment = 0.00 μB/atom
Space group = P1, No. 1
Formation energy = -275.2 kJ per mole of atoms
E (MP2020) = -7.74 eV per atom

---

Entry 4:
Computed, not measured: a relaxed structure of Ba6YRe3O18 at the GGA-PBE level of DFT.

```
56
Lattice="5.108 -8.846 0.000 5.108 8.846 0.000 -3.404 0.000 9.495" Properties=species:S:1:pos:R:3 pbc="T T T"
Ba 1.656 2.868 1.178
Ba 0.007 0.000 3.658
Ba 1.707 2.955 5.769
Ba -0.092 0.000 8.314
Ba 1.656 -2.868 1.178
Ba 5.104 2.955 3.726
Ba 1.707 -2.955 5.769
Ba 5.156 2.868 8.317
Ba 6.904 0.000 1.181
Ba 5.104 -2.955 3.726
Ba 6.805 0.000 5.837
Ba 5.156 -2.868 8.317
Y 5.108 2.950 0.000
Y 5.108 -2.950 0.000
Re 3.424 5.934 2.545
Re 3.388 5.934 6.950
Re 3.367 0.000 2.544
Re 3.444 0.000 6.951
Re 3.424 -5.934 2.545
Re 3.388 -5.934 6.950
O -0.897 1.570 5.987
O 4.142 7.176 1.337
O 1.810 5.888 5.995
O -0.119 2.952 8.188
O 2.611 4.518 3.442
O 2.669 7.176 8.158
O 4.193 4.524 1.306
O -0.897 -1.570 5.987
O 1.930 0.000 1.336
O 5.002 5.888 3.500
O 2.618 4.524 8.189
O 2.613 1.386 3.501
O 4.201 4.518 6.053
O 4.202 1.368 1.307
O 1.815 0.000 6.046
O -0.119 -2.952 8.188
O 2.613 -1.386 3.501
O 2.609 1.368 8.188
O 4.202 -1.368 1.307
O 4.199 1.386 5.995
O 6.930 2.952 1.307
O 4.996 0.000 3.449
O 2.609 -1.368 8.188
O 2.611 -4.518 3.442
O 4.199 -1.386 5.995
O 4.193 -4.524 1.306
O 1.810 -5.888 5.995
O 4.882 0.000 8.159
O 7.709 1.570 3.508
O 2.618 -4.524 8.189
O 4.142 -7.176 1.337
O 4.201 -4.518 6.053
O 6.930 -2.952 1.307
O 5.002 -5.888 3.500
O 2.669 -7.176 8.158
O 7.709 -1.570 3.508
```

Summary:
Total moment = 0.00 μB/atom
Space group = C2/m, No. 12
Formation energy = -278.5 kJ per mole of atoms
E (MP2020) = -8.04 eV per atom